# ScGaS3O12 (PBE, optimized geometry)
data_ScGaS3O12
_chemical_formula_sum 'Sc6 Ga6 S18 O72'
_cell_length_a 8.6335
_cell_length_b 8.6335
_cell_length_c 22.4312
_cell_angle_alpha 90.00
_cell_angle_beta 90.00
_cell_angle_gamma 120.00
_symmetry_space_group_name_H-M 'P 3 2 1'
_symmetry_Int_Tables_number 150
loop_
_symmetry_equiv_pos_as_xyz
'x,y,z'
'-y,x-y,z'
'-x+y,-x,z'
'y,x,-z'
'x-y,-y,-z'
'-x,-x+y,-z'
loop_
_atom_site_label
_atom_site_fract_x
_atom_site_fract_y
_atom_site_fract_z
Sc1 0.0000 0.0000 0.1053
Sc2 0.0000 0.0000 0.3924
Sc3 0.3333 0.6667 0.5633
Ga1 0.3333 0.6667 0.0641
Ga2 0.3333 0.6667 0.2691
Ga3 0.3333 0.6667 0.7706
S1 0.0000 0.2897 0.5000
S2 0.0000 0.7016 0.0000
S3 0.0398 0.6596 0.6700
S4 0.0441 0.3839 0.1679
O1 0.0220 0.8190 0.6618
O2 0.0258 0.2063 0.1596
O3 0.0296 0.2086 0.4465
O4 0.0331 0.8158 0.9469
O5 0.1185 0.6288 0.6159
O6 0.1231 0.4953 0.1137
O7 0.1349 0.4997 0.8238
O8 0.1388 0.6385 0.3222
O9 0.1562 0.6952 0.7228
O10 0.1582 0.4625 0.2212
O11 0.1589 0.4672 0.5076
O12 0.1613 0.6849 0.0093
# M_tot ... 0.00 μB per formula unit
# Formation energy ... -2.25 eV/atom